Entry 1:
{
  "formula": "Na2BiO3",
  "functional": "GGA-PBE",
  "state": "optimized geometry",
  "cell": [[3.001, -5.176, 0.000], [3.001, 5.176, 0.000], [-2.021, 0.000, 5.599]],
  "species": ["Na", "Na", "Na", "Na", "Bi", "Bi", "O", "O", "O", "O", "O", "O"],
  "frac_coords": [[0.000, 0.000, 0.000], [0.159, 0.841, 0.500], [0.500, 0.500, 0.500], [0.841, 0.159, 0.500], [0.333, 0.667, 0.000], [0.667, 0.333, 0.000], [0.073, 0.437, 0.219], [0.286, 0.286, 0.775], [0.437, 0.073, 0.219], [0.563, 0.927, 0.781], [0.714, 0.714, 0.225], [0.927, 0.563, 0.781]],
  "energy_ev_per_atom": -4.92,
  "total_magnetization_mub_per_fu": 0.0
}

***

Entry 2:
{
  "formula": "Na3BiO3",
  "functional": "GGA-PBE",
  "state": "optimized geometry",
  "cell": [[-4.889, 4.889, 4.889], [4.889, -4.889, 4.889], [4.889, 4.889, -4.889]],
  "species": ["Na", "Na", "Na", "Na", "Na", "Na", "Na", "Na", "Na", "Na", "Na", "Na", "Bi", "Bi", "Bi", "Bi", "O", "O", "O", "O", "O", "O", "O", "O", "O", "O", "O", "O"],
  "frac_coords": [[0.000, 0.278, 0.525], [0.000, 0.525, 0.278], [0.246, 0.722, 0.722], [0.278, 0.000, 0.525], [0.278, 0.525, 0.000], [0.475, 0.475, 0.754], [0.475, 0.754, 0.475], [0.525, 0.000, 0.278], [0.525, 0.278, 0.000], [0.722, 0.246, 0.722], [0.722, 0.722, 0.246], [0.754, 0.475, 0.475], [0.000, 0.000, 0.715], [0.000, 0.715, 0.000], [0.285, 0.285, 0.285], [0.715, 0.000, 0.000], [0.000, 0.516, 0.772], [0.000, 0.772, 0.516], [0.228, 0.228, 0.744], [0.228, 0.744, 0.228], [0.256, 0.484, 0.484], [0.484, 0.256, 0.484], [0.484, 0.484, 0.256], [0.516, 0.000, 0.772], [0.516, 0.772, 0.000], [0.744, 0.228, 0.228], [0.772, 0.000, 0.516], [0.772, 0.516, 0.000]],
  "energy_ev_per_atom": -4.67
}

***

Entry 3:
{
  "formula": "Na2BiO3",
  "functional": "GGA-PBE",
  "state": "optimized geometry",
  "cell": [[0.000, 4.898, 10.336], [3.432, 0.000, 10.336], [3.432, 4.898, 0.000]],
  "species": ["Na", "Na", "Na", "Na", "Na", "Na", "Na", "Na", "Bi", "Bi", "Bi", "Bi", "O", "O", "O", "O", "O", "O", "O", "O", "O", "O", "O", "O"],
  "frac_coords": [[0.046, 0.046, 0.204], [0.122, 0.122, 0.628], [0.204, 0.204, 0.046], [0.372, 0.372, 0.878], [0.628, 0.628, 0.122], [0.796, 0.796, 0.954], [0.878, 0.878, 0.372], [0.954, 0.954, 0.796], [0.291, 0.291, 0.459], [0.459, 0.459, 0.291], [0.541, 0.541, 0.709], [0.709, 0.709, 0.541], [0.042, 0.527, 0.245], [0.154, 0.596, 0.596], [0.245, 0.686, 0.042], [0.314, 0.755, 0.473], [0.404, 0.846, 0.846], [0.473, 0.958, 0.314], [0.527, 0.042, 0.686], [0.596, 0.154, 0.154], [0.686, 0.245, 0.527], [0.755, 0.314, 0.958], [0.846, 0.404, 0.404], [0.958, 0.473, 0.755]],
  "energy_ev_per_atom": -4.92,
  "total_magnetization_mub_per_fu": 0.0
}

***

Entry 4:
{
  "formula": "Na2BiO3",
  "functional": "GGA-PBE",
  "state": "optimized geometry",
  "cell": [[0.000, 4.903, 10.296], [3.417, 0.000, 10.296], [3.417, 4.903, 0.000]],
  "species": ["Na", "Na", "Na", "Na", "Na", "Na", "Na", "Na", "Bi", "Bi", "Bi", "Bi", "O", "O", "O", "O", "O", "O", "O", "O", "O", "O", "O", "O"],
  "frac_coords": [[0.000, 0.000, 0.000], [0.084, 0.084, 0.416], [0.160, 0.160, 0.840], [0.250, 0.250, 0.250], [0.329, 0.329, 0.671], [0.410, 0.410, 0.090], [0.579, 0.579, 0.921], [0.834, 0.834, 0.166], [0.497, 0.497, 0.503], [0.665, 0.665, 0.335], [0.747, 0.747, 0.753], [0.915, 0.915, 0.585], [0.060, 0.615, 0.444], [0.140, 0.694, 0.800], [0.225, 0.751, 0.286], [0.369, 0.806, 0.635], [0.450, 0.884, 0.110], [0.512, 0.964, 0.499], [0.615, 0.060, 0.881], [0.694, 0.140, 0.366], [0.751, 0.225, 0.738], [0.806, 0.369, 0.190], [0.884, 0.450, 0.556], [0.964, 0.512, 0.025]],
  "energy_ev_per_atom": -4.95
}

***

Entry 5:
{
  "formula": "Na4Bi2O5",
  "functional": "GGA-PBE",
  "state": "optimized geometry",
  "cell": [[8.744, 0.000, 0.000], [0.000, 6.186, 0.000], [-7.438, 0.000, 14.397]],
  "species": ["Na", "Na", "Na", "Na", "Na", "Na", "Na", "Na", "Na", "Na", "Na", "Na", "Na", "Na", "Na", "Na", "Bi", "Bi", "Bi", "Bi", "Bi", "Bi", "Bi", "Bi", "O", "O", "O", "O", "O", "O", "O", "O", "O", "O", "O", "O", "O", "O", "O", "O", "O", "O", "O", "O"],
  "frac_coords": [[0.073, 0.159, 0.079], [0.073, 0.341, 0.579], [0.228, 0.534, 0.032], [0.228, 0.966, 0.532], [0.309, 0.041, 0.950], [0.309, 0.459, 0.450], [0.394, 0.618, 0.900], [0.394, 0.882, 0.400], [0.606, 0.118, 0.600], [0.606, 0.382, 0.100], [0.691, 0.541, 0.550], [0.691, 0.959, 0.050], [0.772, 0.034, 0.468], [0.772, 0.466, 0.968], [0.927, 0.659, 0.421], [0.927, 0.841, 0.921], [0.039, 0.663, 0.193], [0.039, 0.837, 0.693], [0.464, 0.578, 0.668], [0.464, 0.922, 0.168], [0.536, 0.078, 0.832], [0.536, 0.422, 0.332], [0.961, 0.163, 0.307], [0.961, 0.337, 0.807], [0.090, 0.620, 0.875], [0.090, 0.880, 0.375], [0.106, 0.718, 0.592], [0.106, 0.782, 0.092], [0.278, 0.539, 0.299], [0.278, 0.961, 0.799], [0.350, 0.200, 0.091], [0.350, 0.300, 0.591], [0.469, 0.745, 0.059], [0.469, 0.755, 0.559], [0.531, 0.245, 0.441], [0.531, 0.255, 0.941], [0.650, 0.700, 0.409], [0.650, 0.800, 0.909], [0.722, 0.039, 0.201], [0.722, 0.461, 0.701], [0.894, 0.218, 0.908], [0.894, 0.282, 0.408], [0.910, 0.120, 0.625], [0.910, 0.380, 0.125]],
  "energy_ev_per_atom": -4.78,
  "total_magnetization_mub_per_fu": 0.0
}

***

Entry 6:
{
  "formula": "Na3BiP4O14",
  "functional": "GGA-PBE",
  "state": "optimized geometry",
  "cell": [[7.407, 0.000, 0.000], [3.331, 9.060, 0.000], [2.131, 0.893, 9.435]],
  "species": ["Na", "Na", "Na", "Na", "Na", "Na", "Bi", "Bi", "P", "P", "P", "P", "P", "P", "P", "P", "O", "O", "O", "O", "O", "O", "O", "O", "O", "O", "O", "O", "O", "O", "O", "O", "O", "O", "O", "O", "O", "O", "O", "O", "O", "O", "O", "O"],
  "frac_coords": [[0.052, 0.001, 0.162], [0.355, 0.649, 0.274], [0.443, 0.959, 0.332], [0.557, 0.041, 0.668], [0.645, 0.351, 0.726], [0.948, 0.999, 0.838], [0.120, 0.378, 0.219], [0.880, 0.622, 0.781], [0.098, 0.158, 0.547], [0.185, 0.635, 0.975], [0.271, 0.392, 0.549], [0.414, 0.834, 0.945], [0.586, 0.166, 0.055], [0.729, 0.608, 0.451], [0.815, 0.365, 0.025], [0.902, 0.842, 0.453], [0.037, 0.737, 0.879], [0.095, 0.857, 0.373], [0.104, 0.313, 0.589], [0.117, 0.175, 0.384], [0.122, 0.663, 0.131], [0.179, 0.535, 0.624], [0.231, 0.472, 0.956], [0.242, 0.967, 0.904], [0.278, 0.033, 0.586], [0.308, 0.422, 0.386], [0.383, 0.681, 0.915], [0.392, 0.170, 0.153], [0.410, 0.834, 0.103], [0.456, 0.291, 0.603], [0.544, 0.709, 0.397], [0.590, 0.166, 0.897], [0.608, 0.830, 0.847], [0.617, 0.319, 0.085], [0.692, 0.578, 0.614], [0.722, 0.967, 0.414], [0.758, 0.033, 0.096], [0.769, 0.528, 0.044], [0.821, 0.465, 0.376], [0.878, 0.337, 0.869], [0.883, 0.825, 0.616], [0.896, 0.687, 0.411], [0.905, 0.143, 0.627], [0.963, 0.263, 0.121]],
  "energy_ev_per_atom": -6.43,
  "total_magnetization_mub_per_fu": 0.3
}

***

Entry 7:
{
  "formula": "NaBiP4O12",
  "functional": "GGA-PBE",
  "state": "optimized geometry",
  "cell": [[7.299, 0.000, 0.000], [0.000, 13.306, 0.000], [-7.242, 0.000, 9.984]],
  "species": ["Na", "Na", "Na", "Na", "Bi", "Bi", "Bi", "Bi", "P", "P", "P", "P", "P", "P", "P", "P", "P", "P", "P", "P", "P", "P", "P", "P", "O", "O", "O", "O", "O", "O", "O", "O", "O", "O", "O", "O", "O", "O", "O", "O", "O", "O", "O", "O", "O", "O", "O", "O", "O", "O", "O", "O", "O", "O", "O", "O", "O", "O", "O", "O", "O", "O", "O", "O", "O", "O", "O", "O", "O", "O", "O", "O"],
  "frac_coords": [[0.065, 0.221, 0.064], [0.065, 0.279, 0.564], [0.935, 0.721, 0.436], [0.935, 0.779, 0.936], [0.466, 0.219, 0.978], [0.466, 0.281, 0.478], [0.534, 0.719, 0.522], [0.534, 0.781, 0.022], [0.008, 0.601, 0.259], [0.008, 0.899, 0.759], [0.113, 0.614, 0.736], [0.113, 0.886, 0.236], [0.342, 0.628, 0.196], [0.342, 0.872, 0.696], [0.430, 0.090, 0.700], [0.430, 0.410, 0.200], [0.570, 0.590, 0.800], [0.570, 0.910, 0.300], [0.658, 0.128, 0.304], [0.658, 0.372, 0.804], [0.887, 0.114, 0.764], [0.887, 0.386, 0.264], [0.992, 0.101, 0.241], [0.992, 0.399, 0.741], [0.073, 0.513, 0.788], [0.073, 0.987, 0.288], [0.093, 0.145, 0.899], [0.093, 0.355, 0.399], [0.097, 0.624, 0.169], [0.097, 0.876, 0.669], [0.193, 0.608, 0.407], [0.193, 0.892, 0.907], [0.199, 0.165, 0.292], [0.199, 0.335, 0.792], [0.211, 0.688, 0.849], [0.211, 0.812, 0.349], [0.298, 0.581, 0.710], [0.298, 0.919, 0.210], [0.318, 0.709, 0.104], [0.318, 0.791, 0.604], [0.339, 0.160, 0.584], [0.339, 0.340, 0.084], [0.352, 0.522, 0.137], [0.352, 0.978, 0.637], [0.365, 0.109, 0.794], [0.365, 0.391, 0.294], [0.473, 0.134, 0.156], [0.473, 0.366, 0.656], [0.527, 0.634, 0.344], [0.527, 0.866, 0.844], [0.635, 0.609, 0.706], [0.635, 0.891, 0.206], [0.648, 0.022, 0.363], [0.648, 0.478, 0.863], [0.661, 0.660, 0.916], [0.661, 0.840, 0.416], [0.682, 0.209, 0.396], [0.682, 0.291, 0.896], [0.702, 0.081, 0.790], [0.702, 0.419, 0.290], [0.789, 0.188, 0.651], [0.789, 0.312, 0.151], [0.801, 0.665, 0.208], [0.801, 0.835, 0.708], [0.807, 0.108, 0.093], [0.807, 0.392, 0.593], [0.903, 0.124, 0.331], [0.903, 0.376, 0.831], [0.907, 0.645, 0.601], [0.907, 0.855, 0.101], [0.927, 0.013, 0.712], [0.927, 0.487, 0.212]],
  "energy_ev_per_atom": -6.87,
  "total_magnetization_mub_per_fu": 0.0
}

***

Entry 8:
{
  "formula": "Na5BiP4O14",
  "functional": "GGA-PBE",
  "state": "optimized geometry",
  "cell": [[7.392, 0.000, 0.000], [3.152, 8.878, 0.000], [2.110, 0.877, 9.682]],
  "species": ["Na", "Na", "Na", "Na", "Na", "Na", "Na", "Na", "Na", "Na", "Bi", "Bi", "P", "P", "P", "P", "P", "P", "P", "P", "O", "O", "O", "O", "O", "O", "O", "O", "O", "O", "O", "O", "O", "O", "O", "O", "O", "O", "O", "O", "O", "O", "O", "O", "O", "O", "O", "O"],
  "frac_coords": [[0.063, 0.487, 0.159], [0.246, 0.735, 0.880], [0.277, 0.264, 0.596], [0.345, 0.152, 0.269], [0.432, 0.476, 0.339], [0.568, 0.524, 0.661], [0.655, 0.848, 0.731], [0.723, 0.736, 0.404], [0.754, 0.265, 0.120], [0.937, 0.513, 0.841], [0.130, 0.874, 0.231], [0.870, 0.126, 0.769], [0.098, 0.653, 0.545], [0.180, 0.136, 0.968], [0.281, 0.890, 0.549], [0.412, 0.340, 0.947], [0.588, 0.660, 0.053], [0.719, 0.110, 0.451], [0.820, 0.864, 0.032], [0.902, 0.347, 0.455], [0.036, 0.237, 0.870], [0.102, 0.353, 0.381], [0.103, 0.174, 0.118], [0.110, 0.677, 0.385], [0.112, 0.808, 0.591], [0.187, 0.038, 0.620], [0.231, 0.968, 0.952], [0.244, 0.476, 0.907], [0.272, 0.521, 0.581], [0.322, 0.915, 0.389], [0.376, 0.184, 0.914], [0.392, 0.669, 0.152], [0.425, 0.327, 0.099], [0.461, 0.786, 0.606], [0.539, 0.214, 0.394], [0.575, 0.673, 0.901], [0.608, 0.331, 0.848], [0.624, 0.816, 0.086], [0.678, 0.085, 0.611], [0.728, 0.479, 0.419], [0.756, 0.524, 0.093], [0.769, 0.032, 0.048], [0.813, 0.962, 0.380], [0.888, 0.192, 0.409], [0.890, 0.323, 0.615], [0.897, 0.826, 0.882], [0.898, 0.647, 0.619], [0.964, 0.763, 0.130]],
  "energy_ev_per_atom": -6.39,
  "total_magnetization_mub_per_fu": 0.0
}

***

Entry 9:
{
  "formula": "Na7Bi3P12Pb10O48",
  "functional": "GGA-PBE",
  "state": "optimized geometry",
  "cell": [[9.788, 0.000, 0.000], [-4.828, 8.547, 0.000], [-0.070, -0.131, 14.390]],
  "species": ["Na", "Na", "Na", "Na", "Na", "Na", "Na", "Bi", "Bi", "Bi", "P", "P", "P", "P", "P", "P", "P", "P", "P", "P", "P", "P", "Pb", "Pb", "Pb", "Pb", "Pb", "Pb", "Pb", "Pb", "Pb", "Pb", "O", "O", "O", "O", "O", "O", "O", "O", "O", "O", "O", "O", "O", "O", "O", "O", "O", "O", "O", "O", "O", "O", "O", "O", "O", "O", "O", "O", "O", "O", "O", "O", "O", "O", "O", "O", "O", "O", "O", "O", "O", "O", "O", "O", "O", "O", "O", "O"],
  "frac_coords": [[0.000, 0.000, 0.000], [0.000, 0.002, 0.499], [0.601, 0.935, 0.868], [0.606, 0.954, 0.390], [0.659, 0.325, 0.506], [0.661, 0.323, 0.260], [0.673, 0.337, 0.739], [0.642, 0.306, 0.005], [0.978, 0.998, 0.758], [0.980, 0.000, 0.258], [0.300, 0.255, 0.125], [0.303, 0.267, 0.626], [0.346, 0.061, 0.372], [0.356, 0.072, 0.877], [0.705, 0.648, 0.875], [0.707, 0.648, 0.371], [0.732, 0.042, 0.629], [0.737, 0.046, 0.123], [0.917, 0.287, 0.877], [0.929, 0.295, 0.372], [0.943, 0.687, 0.123], [0.954, 0.695, 0.625], [0.059, 0.658, 0.869], [0.062, 0.407, 0.618], [0.070, 0.666, 0.379], [0.077, 0.411, 0.125], [0.315, 0.913, 0.131], [0.328, 0.401, 0.869], [0.334, 0.407, 0.378], [0.337, 0.937, 0.618], [0.583, 0.673, 0.123], [0.588, 0.660, 0.618], [0.019, 0.415, 0.454], [0.050, 0.744, 0.036], [0.057, 0.743, 0.209], [0.059, 0.759, 0.715], [0.072, 0.750, 0.543], [0.165, 0.003, 0.368], [0.179, 0.026, 0.878], [0.201, 0.071, 0.126], [0.211, 0.084, 0.617], [0.231, 0.301, 0.716], [0.247, 0.311, 0.212], [0.254, 0.319, 0.039], [0.255, 0.340, 0.545], [0.384, 0.983, 0.454], [0.390, 0.973, 0.809], [0.403, 0.017, 0.282], [0.418, 0.062, 0.977], [0.439, 0.244, 0.385], [0.457, 0.255, 0.857], [0.478, 0.312, 0.126], [0.480, 0.332, 0.631], [0.576, 0.614, 0.802], [0.593, 0.608, 0.455], [0.599, 0.586, 0.285], [0.620, 0.590, 0.970], [0.648, 0.912, 0.553], [0.661, 0.150, 0.633], [0.664, 0.925, 0.043], [0.673, 0.163, 0.123], [0.706, 0.957, 0.217], [0.724, 0.958, 0.724], [0.736, 0.198, 0.889], [0.753, 0.214, 0.387], [0.789, 0.550, 0.856], [0.801, 0.560, 0.383], [0.821, 0.829, 0.369], [0.830, 0.826, 0.876], [0.831, 0.509, 0.122], [0.842, 0.519, 0.623], [0.850, 0.781, 0.130], [0.861, 0.790, 0.623], [0.915, 0.136, 0.610], [0.922, 0.140, 0.115], [0.965, 0.392, 0.790], [0.978, 0.397, 0.283], [0.982, 0.170, 0.872], [0.987, 0.400, 0.963], [0.994, 0.176, 0.369]],
  "energy_ev_per_atom": -6.50,
  "total_magnetization_mub_per_fu": 0.0
}

***

> Number 9 is which compound?

Na7Bi3P12Pb10O48

***

> Which formula does entry 1 have?

Na2BiO3